Entry 1:
# PmHoMg2 PBE-GGA relaxed
# VASP energy = -51.58 eV/cell
# Formation energy = -90.5 meV per atom
data_PmHoMg2
_chemical_formula_sum 'Pm4 Ho4 Mg8'
_cell_length_a 7.6380
_cell_length_b 7.6380
_cell_length_c 7.6380
_cell_angle_alpha 90.00
_cell_angle_beta 90.00
_cell_angle_gamma 90.00
_space_group_name_H-M_alt 'F m -3 m'
_space_group_IT_number 225
_space_group_name_Hall '-F 4 2 3'
loop_
_atom_site_label
_atom_site_type_symbol
_atom_site_fract_x
_atom_site_fract_y
_atom_site_fract_z
_atom_site_occupancy
Pm1 Pm 0.0000 0.0000 0.0000 1
Ho1 Ho 0.0000 0.0000 0.5000 1
Mg1 Mg 0.2500 0.2500 0.2500 1

=====

Entry 2:
# Ba3Li PBE-GGA relaxed
# M_tot = 0.581 μB/f.u.
# VASP energy = -14.43 eV/cell
# Formation energy = 112.6 meV per atom
data_Ba3Li
_chemical_formula_sum 'Ba6 Li2'
_cell_length_a 5.8143
_cell_length_b 5.8143
_cell_length_c 12.9919
_cell_angle_alpha 90.00
_cell_angle_beta 90.00
_cell_angle_gamma 90.00
_space_group_name_H-M_alt 'I 4/m m m'
_space_group_IT_number 139
_space_group_name_Hall '-I 4 2'
loop_
_atom_site_label
_atom_site_type_symbol
_atom_site_fract_x
_atom_site_fract_y
_atom_site_fract_z
_atom_site_occupancy
Ba1 Ba 0.0000 0.0000 0.0000 1
Ba2 Ba 0.0000 0.5000 0.2500 1
Li1 Li 0.0000 0.0000 0.5000 1